Crystalline Ca7V3N9 at its relaxed geometry, computed with PBE.

Values from the calculation:
For the total energy, the calculation gives -7.238 eV per atom. As for the volume: 14.44 Å³ per atom. As for the calculated formation energy: -2359 kJ/mol of formula units. As for the MP2020-corrected energy: -7.409 eV per atom.

a b c (Å): 6.078 9.998 9.031
angles (deg): 90.00 91.50 90.00
Space group P2_1/m (No. 11)
Asymmetric unit:
Ca (0.069, 0.084, 0.170) (multiplicity 4)
Ca (0.090, 0.750, 0.206) (multiplicity 2)
Ca (0.248, 0.580, 0.512) (multiplicity 4)
Ca (0.422, 0.069, 0.838) (multiplicity 4)
V (0.281, 0.250, 0.571) (multiplicity 2)
V (0.327, 0.750, 0.936) (multiplicity 2)
V (0.453, 0.250, 0.281) (multiplicity 2)
N (0.125, 0.107, 0.654) (multiplicity 4)
N (0.226, 0.750, 0.731) (multiplicity 2)
N (0.231, 0.596, 0.022) (multiplicity 4)
N (0.355, 0.250, 0.071) (multiplicity 2)
N (0.363, 0.105, 0.377) (multiplicity 4)
N (0.458, 0.750, 0.335) (multiplicity 2)